{"formula": "SrLa3Mn4O10", "functional": "GGA+U", "state": "relaxed", "lattice": [[8.661, -2.790, 0.000], [8.661, 2.790, 0.000], [-3.851, 0.000, 10.921]], "species": ["Sr", "Sr", "La", "La", "La", "La", "La", "La", "Mn", "Mn", "Mn", "Mn", "Mn", "Mn", "Mn", "Mn", "O", "O", "O", "O", "O", "O", "O", "O", "O", "O", "O", "O", "O", "O", "O", "O", "O", "O", "O", "O"], "frac_coords": [[0.007, 0.993, 0.500], [0.993, 0.007, 0.000], [0.212, 0.234, 0.128], [0.234, 0.212, 0.628], [0.480, 0.521, 0.269], [0.521, 0.480, 0.769], [0.711, 0.737, 0.856], [0.737, 0.711, 0.356], [0.111, 0.113, 0.314], [0.113, 0.111, 0.814], [0.321, 0.408, 0.965], [0.408, 0.321, 0.465], [0.611, 0.613, 0.062], [0.613, 0.611, 0.562], [0.824, 0.902, 0.159], [0.902, 0.824, 0.659], [0.026, 0.926, 0.273], [0.213, 0.295, 0.340], [0.289, 0.437, 0.641], [0.295, 0.213, 0.840], [0.350, 0.846, 0.689], [0.352, 0.866, 0.191], [0.370, 0.883, 0.941], [0.381, 0.887, 0.442], [0.437, 0.289, 0.141], [0.471, 0.488, 0.459], [0.488, 0.471, 0.959], [0.727, 0.769, 0.664], [0.769, 0.727, 0.164], [0.777, 0.936, 0.483], [0.846, 0.350, 0.189], [0.866, 0.352, 0.691], [0.883, 0.370, 0.441], [0.887, 0.381, 0.942], [0.926, 0.026, 0.773], [0.936, 0.777, 0.983]], "sg": "Cc, No. 9", "ef_ev_per_atom": -2.886}